A.
The following is a GGA+U calculation of a relaxed Li2MnPO4F crystal, from Materials Project.

a = 5.1367 Å, b = 13.2408 Å, c = 11.5300 Å
α = 90.00°, β = 90.00°, γ = 90.00°
Last column: nearest neighbours and their distance in Å.
Space group Pbcn (No. 60)
Inequivalent atoms, fractional coordinates:
Li1 0.2175 0.2375 0.1783  4 O 2.10-2.28, 2 F 2.13-2.23
Li2 0.2197 0.3639 0.8968  1 O 2.00, 1 F 2.03
Mn1 0.2293 0.4941 0.6644  4 O 2.13-2.27, 2 F 2.16-2.32
P1 0.2091 0.1296 0.9150  4 O 1.53-1.58
O1 0.0966 0.1258 0.5919  1 P 1.57
O2 0.1807 0.2771 0.3539  1 P 1.53
O3 0.1841 0.4693 0.3553  1 P 1.58
O4 0.2048 0.3718 0.5441  1 P 1.55
F1 0.0000 0.1060 0.2500  2 Mn 2.16, 4 Li 2.23-2.26
F2 0.0000 0.3628 0.7500  4 Li 2.03-2.13

## Properties
Crystal system: orthorhombic
Volume, Å³/atom: 10.892

---

B.
The following is a GGA+U calculation of a relaxed Li2MnPO4F crystal, from Materials Project.

a = 10.7581 Å, b = 6.5584 Å, c = 11.2160 Å
α = 90.00°, β = 90.00°, γ = 90.00°
Last column: nearest neighbours and their distance in Å.
Space group Pnma (No. 62)
Inequivalent atoms, fractional coordinates:
Li1 0.0265 0.2500 0.2289  1 F 1.89, 2 O 2.08
Li2 0.2314 0.7500 0.4158  1 F 1.95, 3 O 2.11-2.17
Li3 0.2402 0.0096 0.1682  4 O 2.06-2.26
Mn1 0.0000 0.0000 0.0000  4 O 2.13-2.14, 2 F 2.23
Mn2 0.0000 0.0000 0.5000  4 O 2.14-2.17, 2 F 2.21
P1 0.0205 0.2500 0.7544  4 O 1.56
P2 0.2455 0.2500 0.4194  4 O 1.55-1.56
O1 0.0288 0.7500 0.3767  1 P 1.56
O2 0.0348 0.5573 0.1841  1 P 1.56
O3 0.1107 0.7500 0.9375  1 P 1.56
O4 0.1653 0.2500 0.7557  1 P 1.56
O5 0.1950 0.0550 0.4827  1 P 1.56
O6 0.2149 0.2500 0.2845  1 P 1.55
F1 0.0550 0.7500 0.6218  1 Li 1.89
F2 0.1355 0.2500 0.0333  1 Li 1.95

## Properties
Crystal system: orthorhombic
Volume, Å³/atom: 10.991

---

C.
The following is a GGA+U calculation of a relaxed Li2MnPO4F crystal, from Materials Project.

a = 5.4413 Å, b = 5.4482 Å, c = 7.5591 Å
α = 107.89°, β = 107.80°, γ = 94.47°
Last column: nearest neighbours and their distance in Å.
Space group P1 (No. 1)
Inequivalent atoms, fractional coordinates:
Li1 0.0000 0.0000 0.0000  2 F 1.90-2.11, 1 O 2.02
Li2 0.0254 0.1911 0.3795  3 O 2.04-2.13, 1 F 2.06
Li3 0.2914 0.4895 0.2344  1 F 1.97, 3 O 2.02-2.11
Li4 0.6993 0.5873 0.6537  1 F 1.90, 3 O 2.01-2.09
Mn1 0.5005 0.0324 0.0223  2 F 2.13-2.27, 4 O 2.15-2.22
Mn2 0.5234 0.0347 0.5377  2 F 2.14-2.29, 4 O 2.16-2.18
P1 0.1740 0.4150 0.7813  4 O 1.55-1.57
P2 0.8586 0.6624 0.2901  4 O 1.55-1.56
O1 0.1506 0.7656 0.4249  1 P 1.55
O2 0.1709 0.7098 0.8785  1 P 1.55
O3 0.2286 0.2850 0.9430  1 P 1.56
O4 0.3798 0.3746 0.6751  1 P 1.56
O5 0.6620 0.6836 0.4055  1 P 1.56
O6 0.7903 0.8333 0.1568  1 P 1.56
O7 0.8404 0.3647 0.1772  1 P 1.56
O8 0.8975 0.2893 0.6147  1 P 1.57
F1 0.3246 0.1459 0.2665  3 Li 1.97-2.11
F2 0.6686 0.9306 0.7962  2 Li 1.90, 1 Mn 2.13

## Properties
Crystal system: triclinic
Volume, Å³/atom: 11.076

---

D.
The following is a GGA+U calculation of a relaxed Li2MnPO4F crystal, from Materials Project.

a = 5.4489 Å, b = 5.4651 Å, c = 7.5365 Å
α = 107.15°, β = 106.66°, γ = 94.98°
Last column: nearest neighbours and their distance in Å.
Space group P1 (No. 1)
Inequivalent atoms, fractional coordinates:
Li1 0.0000 0.0000 0.0000  3 O 1.93-2.01
Li2 0.1324 0.9487 0.3612  2 F 1.93-2.02, 1 O 2.08
Li3 0.5447 0.2018 0.6946  1 F 1.88, 2 O 1.98-2.04
Li4 0.6827 0.6441 0.0156  1 F 1.90, 2 O 1.93-1.99
Mn1 0.1293 0.4535 0.8375  4 O 2.15-2.22, 2 F 2.17-2.26
Mn2 0.1501 0.4673 0.3600  2 F 2.11-2.21, 4 O 2.12-2.34
P1 0.5066 0.1090 0.0769  4 O 1.55-1.57
P2 0.7628 0.7947 0.6082  4 O 1.54-1.58
O1 0.3402 0.1762 0.2154  1 P 1.56
O2 0.3900 0.8256 0.9343  1 P 1.55
O3 0.4723 0.7965 0.5053  1 P 1.55
O4 0.4825 0.3047 0.9593  1 P 1.57
O5 0.7879 0.6104 0.7359  1 P 1.57
O6 0.8006 0.1161 0.1815  1 P 1.56
O7 0.8789 0.0791 0.7599  1 P 1.58
O8 0.9120 0.7244 0.4610  1 P 1.54
F1 0.0408 0.6285 0.1182  2 Li 1.90-2.02
F2 0.2224 0.2792 0.5718  2 Li 1.88-1.93, 1 Mn 2.11

## Properties
Crystal system: triclinic
Volume, Å³/atom: 11.212

---

Most stable: B (next structure +0.014 eV/atom)